[1]
First-principles (PBE with a Hubbard U) data for Eu2HfFeO6 after structural relaxation, as listed in the Materials Project.

abc: 5.695 5.695 5.695
angles: 60.00 60.00 60.00
Atoms (fractional coordinates):
1 Eu 0.250 0.250 0.250
2 Eu 0.750 0.750 0.750
3 Hf 0.000 0.000 0.000
4 Fe 0.500 0.500 0.500
5 O 0.254 0.254 0.746
6 O 0.254 0.746 0.254
7 O 0.254 0.746 0.746
8 O 0.746 0.254 0.254
9 O 0.746 0.254 0.746
10 O 0.746 0.746 0.254

Calculated values
The energy relative to the elements is -3.075 eV per atom.



[2]
First-principles (PBE with a Hubbard U) data for PrEuHfFeO6 after structural relaxation, as listed in the Materials Project.

abc: 5.710 5.710 5.710
angles: 60.00 60.00 60.00
Atoms (fractional coordinates):
1 Pr 0.000 0.000 0.000
2 Eu 0.500 0.500 0.500
3 Hf 0.250 0.250 0.250
4 Fe 0.750 0.750 0.750
5 O 0.503 0.503 0.997
6 O 0.503 0.997 0.503
7 O 0.503 0.997 0.997
8 O 0.997 0.503 0.503
9 O 0.997 0.503 0.997
10 O 0.997 0.997 0.503

Calculated values
The energy relative to the elements is -3.151 eV per atom.



[3]
First-principles (PBE with a Hubbard U) data for SmEuHfFeO6 after structural relaxation, as listed in the Materials Project.

abc: 5.699 5.699 5.699
angles: 60.00 60.00 60.00
Atoms (fractional coordinates):
1 Sm 0.000 0.000 0.000
2 Eu 0.500 0.500 0.500
3 Hf 0.250 0.250 0.250
4 Fe 0.750 0.750 0.750
5 O 0.503 0.503 0.997
6 O 0.503 0.997 0.503
7 O 0.503 0.997 0.997
8 O 0.997 0.503 0.503
9 O 0.997 0.503 0.997
10 O 0.997 0.997 0.503

Calculated values
The energy relative to the elements is -3.120 eV per atom.



no.,MP2020-corrected energy (eV for the cell shown),energy (hartree per atom),V (Å³/f.u.)
1,-99.4,-0.342,131
2,-94.7,-0.324,132
3,-94.3,-0.323,131